Compound: CeEr3S6
Source: the Materials Project
Functional: meta-GGA r2SCAN
Structure: optimized geometry

POSCAR file:
```
CeEr3S6
1.0
11.004 0.000 0.000
0.000 3.949 0.000
-3.605 0.000 10.669
Ce Er S
2 6 12
direct
0.050 0.250 0.195 Ce
0.950 0.750 0.805 Ce
0.161 0.250 0.587 Er
0.321 0.750 0.999 Er
0.443 0.250 0.333 Er
0.557 0.750 0.667 Er
0.679 0.250 0.001 Er
0.839 0.750 0.413 Er
0.082 0.750 0.408 S
0.120 0.250 0.965 S
0.197 0.750 0.750 S
0.268 0.750 0.230 S
0.393 0.250 0.558 S
0.478 0.250 0.112 S
0.522 0.750 0.888 S
0.607 0.750 0.442 S
0.732 0.250 0.770 S
0.803 0.250 0.250 S
0.880 0.750 0.035 S
0.918 0.250 0.592 S
```

Results
Energy in eV per atom: -20.4740
Formation enthalpy at 0 K in eV per atom: -2.39
SG: P2_1/m, No. 11

=====

Compound: CeF3
Source: the Materials Project
Functional: meta-GGA r2SCAN
Structure: optimized geometry

POSCAR file:
```
CeF3
1.0
7.168 -0.078 0.000
-3.651 6.172 0.000
0.000 0.000 7.271
F Ce
18 6
direct
0.337 0.670 0.750 F
0.003 0.003 0.750 F
0.997 0.997 0.250 F
0.666 0.999 0.420 F
0.667 0.667 0.920 F
0.000 0.666 0.080 F
0.334 0.001 0.920 F
0.333 0.333 0.080 F
0.000 0.334 0.920 F
0.663 0.330 0.250 F
0.000 0.334 0.580 F
0.333 0.333 0.420 F
0.330 0.663 0.250 F
0.667 0.667 0.580 F
0.670 0.337 0.750 F
0.000 0.666 0.420 F
0.666 0.999 0.080 F
0.334 0.001 0.580 F
0.343 0.343 0.750 Ce
0.324 0.991 0.250 Ce
0.009 0.676 0.750 Ce
0.657 0.657 0.250 Ce
0.991 0.324 0.250 Ce
0.676 0.009 0.750 Ce
```

Results
Energy in eV per atom: -14.4441
Formation enthalpy at 0 K in eV per atom: -4.39

=====

Compound: CeF4
Source: the Materials Project
Functional: meta-GGA r2SCAN
Structure: optimized geometry

POSCAR file:
```
CeF4
1.0
6.344 -5.351 0.000
6.344 5.351 0.000
-4.920 0.000 6.694
Ce F
6 24
direct
0.212 0.788 0.750 Ce
0.224 0.368 0.170 Ce
0.368 0.224 0.670 Ce
0.632 0.776 0.330 Ce
0.776 0.632 0.830 Ce
0.788 0.212 0.250 Ce
0.000 0.500 0.000 F
0.029 0.724 0.848 F
0.066 0.174 0.456 F
0.174 0.066 0.956 F
0.185 0.597 0.428 F
0.260 0.318 0.896 F
0.261 0.503 0.718 F
0.276 0.971 0.652 F
0.318 0.260 0.396 F
0.396 0.604 0.250 F
0.403 0.815 0.072 F
0.497 0.739 0.782 F
0.500 0.000 0.500 F
0.503 0.261 0.218 F
0.597 0.185 0.928 F
0.604 0.396 0.750 F
0.682 0.740 0.604 F
0.724 0.029 0.348 F
0.739 0.497 0.282 F
0.740 0.682 0.104 F
0.815 0.403 0.572 F
0.826 0.934 0.044 F
0.934 0.826 0.544 F
0.971 0.276 0.152 F
```

Results
Energy in eV per atom: -12.6300
Formation enthalpy at 0 K in eV per atom: -3.96
SG: C2/c, No. 15

=====

Compound: CeHfF7
Source: the Materials Project
Functional: meta-GGA r2SCAN
Structure: optimized geometry

POSCAR file:
```
CeHfF7
1.0
6.235 0.000 0.000
0.000 5.825 0.000
-1.773 0.000 8.252
Ce Hf F
2 2 14
direct
0.161 0.000 0.187 Ce
0.839 0.500 0.813 Ce
0.308 0.990 0.723 Hf
0.692 0.490 0.277 Hf
0.054 0.199 0.712 F
0.061 0.324 0.027 F
0.118 0.713 0.715 F
0.256 0.998 0.483 F
0.360 0.985 0.964 F
0.444 0.273 0.275 F
0.473 0.744 0.260 F
0.527 0.244 0.740 F
0.556 0.773 0.725 F
0.640 0.485 0.036 F
0.744 0.498 0.517 F
0.882 0.213 0.285 F
0.939 0.824 0.973 F
0.946 0.699 0.288 F
```

Results
Energy in eV per atom: -15.0989
Formation enthalpy at 0 K in eV per atom: -4.22
SG: P2_1, No. 4

=====

Compound: K2CeF6
Source: the Materials Project
Functional: meta-GGA r2SCAN
Structure: optimized geometry

POSCAR file:
```
K2CeF6
1.0
6.509 0.000 0.000
-3.254 5.637 0.000
0.000 0.000 3.705
K Ce F
2 1 6
direct
0.333 0.667 0.000 K
0.667 0.333 0.000 K
0.000 0.000 0.500 Ce
0.000 0.342 0.500 F
0.000 0.772 0.000 F
0.228 0.228 0.000 F
0.342 0.000 0.500 F
0.658 0.658 0.500 F
0.772 0.000 0.000 F
```

Results
Energy in eV per atom: -10.4793
Formation enthalpy at 0 K in eV per atom: -3.63
SG: P-62m, No. 189

=====

Compound: Na3CeF7
Source: the Materials Project
Functional: meta-GGA r2SCAN
Structure: optimized geometry

POSCAR file:
```
Na3CeF7
1.0
3.924 -3.829 0.000
3.924 3.829 0.000
-3.854 0.000 5.317
Na Ce F
3 1 7
direct
0.000 0.000 0.000 Na
0.279 0.734 0.551 Na
0.734 0.279 0.551 Na
0.460 0.460 0.012 Ce
0.107 0.107 0.741 F
0.130 0.609 0.783 F
0.358 0.358 0.268 F
0.436 0.855 0.281 F
0.609 0.130 0.783 F
0.665 0.665 0.881 F
0.855 0.436 0.281 F
```

Results
Energy in eV per atom: -9.2125
Formation enthalpy at 0 K in eV per atom: -3.45
SG: Cm, No. 8

=====

Compound: Na2CeF6
Source: the Materials Project
Functional: meta-GGA r2SCAN
Structure: optimized geometry

POSCAR file:
```
Na2CeF6
1.0
5.890 0.000 0.000
-2.945 5.101 0.000
0.000 0.000 3.702
Na Ce F
2 1 6
direct
0.333 0.667 0.425 Na
0.667 0.333 0.575 Na
0.000 0.000 0.000 Ce
0.000 0.253 0.500 F
0.000 0.626 0.000 F
0.253 0.000 0.500 F
0.374 0.374 0.000 F
0.626 0.000 0.000 F
0.747 0.747 0.500 F
```

Results
Energy in eV per atom: -9.8901
Formation enthalpy at 0 K in eV per atom: -3.59
SG: P321, No. 150

=====

Compound: RbCeF4
Source: the Materials Project
Functional: meta-GGA r2SCAN
Structure: optimized geometry

POSCAR file:
```
RbCeF4
1.0
6.439 0.000 0.000
0.000 3.784 0.000
0.000 0.000 16.104
Rb Ce F
4 4 16
direct
0.225 0.250 0.201 Rb
0.275 0.750 0.701 Rb
0.725 0.250 0.299 Rb
0.775 0.750 0.799 Rb
0.248 0.750 0.442 Ce
0.252 0.250 0.942 Ce
0.748 0.750 0.058 Ce
0.752 0.250 0.558 Ce
0.002 0.250 0.056 F
0.097 0.250 0.813 F
0.108 0.250 0.369 F
0.133 0.250 0.538 F
0.367 0.750 0.038 F
0.392 0.750 0.869 F
0.403 0.750 0.313 F
0.498 0.750 0.556 F
0.502 0.250 0.444 F
0.597 0.250 0.687 F
0.608 0.250 0.131 F
0.633 0.250 0.962 F
0.867 0.750 0.462 F
0.892 0.750 0.631 F
0.903 0.750 0.187 F
0.998 0.750 0.944 F
```

Results
Energy in eV per atom: -13.4640
Formation enthalpy at 0 K in eV per atom: -3.92
SG: Pnma, No. 62

=====

Compound: Ce2SeF4
Source: the Materials Project
Functional: meta-GGA r2SCAN
Structure: optimized geometry

POSCAR file:
```
Ce2SeF4
1.0
2.069 1.194 7.665
-2.069 1.194 7.665
0.000 -2.389 7.665
Ce Se F
2 1 4
direct
0.243 0.243 0.243 Ce
0.757 0.757 0.757 Ce
0.000 0.000 0.000 Se
0.139 0.139 0.139 F
0.431 0.431 0.431 F
0.569 0.569 0.569 F
0.861 0.861 0.861 F
```

Results
Energy in eV per atom: -16.4872
Formation enthalpy at 0 K in eV per atom: -3.84
SG: R-3m, No. 166

=====

Compound: CeZrF7
Source: the Materials Project
Functional: meta-GGA r2SCAN
Structure: optimized geometry

POSCAR file:
```
CeZrF7
1.0
6.276 0.000 0.000
0.000 5.873 0.000
-1.821 0.000 8.282
Ce Zr F
2 2 14
direct
0.158 0.000 0.188 Ce
0.842 0.500 0.812 Ce
0.311 0.009 0.724 Zr
0.689 0.509 0.276 Zr
0.056 0.681 0.026 F
0.058 0.793 0.711 F
0.118 0.287 0.715 F
0.258 0.001 0.482 F
0.360 0.010 0.967 F
0.442 0.730 0.272 F
0.463 0.259 0.259 F
0.537 0.759 0.741 F
0.558 0.230 0.728 F
0.640 0.510 0.033 F
0.742 0.501 0.518 F
0.882 0.787 0.285 F
0.942 0.293 0.289 F
0.944 0.181 0.974 F
```

Results
Energy in eV per atom: -12.5542
Formation enthalpy at 0 K in eV per atom: -4.17
SG: P2_1, No. 4

=====

Compound: CeFe5
Source: the Materials Project
Functional: meta-GGA r2SCAN
Structure: optimized geometry

POSCAR file:
```
CeFe5
1.0
5.072 0.000 0.000
-2.536 4.393 0.000
0.000 0.000 4.049
Ce Fe
1 5
direct
0.000 0.000 0.000 Ce
0.000 0.500 0.500 Fe
0.333 0.667 0.000 Fe
0.500 0.000 0.500 Fe
0.500 0.500 0.500 Fe
0.667 0.333 0.000 Fe
```

Results
Energy in eV per atom: -17.0947
Formation enthalpy at 0 K in eV per atom: 0.06
SG: P6/mmm, No. 191

=====

Compound: Ce2Fe17
Source: the Materials Project
Functional: meta-GGA r2SCAN
Structure: optimized geometry

POSCAR file:
```
Ce2Fe17
1.0
8.530 0.000 0.000
-4.265 7.387 0.000
0.000 0.000 8.400
Ce Fe
4 34
direct
0.000 0.000 0.250 Ce
0.000 0.000 0.750 Ce
0.333 0.667 0.250 Ce
0.667 0.333 0.750 Ce
0.000 0.500 0.000 Fe
0.000 0.500 0.500 Fe
0.042 0.373 0.750 Fe
0.042 0.670 0.750 Fe
0.167 0.334 0.013 Fe
0.167 0.334 0.487 Fe
0.167 0.833 0.013 Fe
0.167 0.833 0.487 Fe
0.330 0.373 0.750 Fe
0.330 0.958 0.750 Fe
0.333 0.667 0.608 Fe
0.333 0.667 0.892 Fe
0.334 0.167 0.513 Fe
0.334 0.167 0.987 Fe
0.373 0.042 0.250 Fe
0.373 0.330 0.250 Fe
0.500 0.000 0.000 Fe
0.500 0.000 0.500 Fe
0.500 0.500 0.000 Fe
0.500 0.500 0.500 Fe
0.627 0.670 0.750 Fe
0.627 0.958 0.750 Fe
0.666 0.833 0.013 Fe
0.666 0.833 0.487 Fe
0.667 0.333 0.108 Fe
0.667 0.333 0.392 Fe
0.670 0.042 0.250 Fe
0.670 0.627 0.250 Fe
0.833 0.167 0.513 Fe
0.833 0.167 0.987 Fe
0.833 0.666 0.513 Fe
0.833 0.666 0.987 Fe
0.958 0.330 0.250 Fe
0.958 0.627 0.250 Fe
```

Results
Energy in eV per atom: -16.1042
Formation enthalpy at 0 K in eV per atom: 0.04
SG: P6_3/mmc, No. 194